Entry 1:
VASP calculation (PBE-GGA) on an optimized crystal structure of Te16Rh15.

## Properties
DFT total energy   -5.511 eV per atom
Volume   21.01 Å³ per atom

Unit cell a=9.092 b=8.036 c=9.124 alpha=90.00 beta=102.38 gamma=90.00
Space group P2/m (No. 10)
One atom of each set of equivalent atoms:
Te 0.040 0.247 0.209 x4
Te 0.206 0.000 0.535 x2
Te 0.211 0.500 0.540 x2
Te 0.284 0.500 0.949 x2
Te 0.295 0.000 0.963 x2
Te 0.456 0.253 0.286 x4
Rh 0.000 0.000 0.000 x1
Rh 0.000 0.239 0.500 x2
Rh 0.000 0.500 0.000 x1
Rh 0.256 0.242 0.741 x4
Rh 0.256 0.500 0.236 x2
Rh 0.261 0.000 0.261 x2
Rh 0.500 0.266 0.000 x2
Rh 0.500 0.500 0.500 x1



Entry 2:
VASP calculation (PBE-GGA) on an optimized crystal structure of Rb2CuRuF6.

## Properties
DFT total energy   -4.633 eV per atom
Volume   15.42 Å³ per atom
Total magnetization   4.0 μB per cell

Unit cell a=8.513 b=8.513 c=8.513 alpha=90.00 beta=90.00 gamma=90.00
Space group Fm-3m (No. 225)
One atom of each set of equivalent atoms:
Rb 0.250 0.250 0.250 x8
Cu 0.000 0.000 0.000 x4
Ru 0.000 0.000 0.500 x4
F 0.000 0.000 0.257 x24



Entry 3:
VASP calculation (PBE-GGA) on an optimized crystal structure of Rb10Si6O17.

## Properties
DFT total energy   -6.182 eV per atom
Volume   19.06 Å³ per atom
Total magnetization   0.0 μB per cell

Unit cell a=13.016 b=13.806 c=14.001 alpha=90.00 beta=90.00 gamma=90.00
Space group Pbca (No. 61)
One atom of each set of equivalent atoms:
Rb 0.030 0.217 0.141 x8
Rb 0.064 0.510 0.225 x8
Rb 0.150 0.535 0.539 x8
Rb 0.202 0.625 0.792 x8
Rb 0.210 0.712 0.061 x8
Si 0.055 0.217 0.886 x8
Si 0.082 0.090 0.487 x8
Si 0.218 0.131 0.317 x8
O 0.000 0.000 0.500 x4
O 0.012 0.184 0.450 x8
O 0.040 0.674 0.675 x8
O 0.113 0.142 0.956 x8
O 0.142 0.230 0.312 x8
O 0.146 0.113 0.582 x8
O 0.153 0.056 0.394 x8
O 0.172 0.658 0.362 x8
O 0.216 0.079 0.213 x8



Entry 4:
VASP calculation (PBE-GGA) on an optimized crystal structure of CsEuO3.

## Properties
DFT total energy   -6.761 eV per atom
Volume   19.50 Å³ per atom
Total magnetization   4.0 μB per cell

Unit cell a=4.603 b=4.603 c=4.603 alpha=90.00 beta=90.00 gamma=90.00
Space group Pm-3m (No. 221)
One atom of each set of equivalent atoms:
Cs 0.000 0.000 0.000 x1
Eu 0.500 0.500 0.500 x1
O 0.000 0.500 0.500 x3



Entry 5:
VASP calculation (PBE-GGA) on an optimized crystal structure of Eu5Ta4O15.

## Properties
DFT total energy   -10.205 eV per atom
Volume   13.54 Å³ per atom
Total magnetization   35.0 μB per cell

Unit cell a=5.7021 b=5.7021 c=11.5369 alpha=90.00 beta=90.00 gamma=120.00
Space group P-3m1 (No. 164)
One atom of each set of equivalent atoms:
Eu 0.0000 0.0000 0.0000 x1
Eu 0.3333 0.6667 0.4386 x2
Eu 0.3333 0.6667 0.7690 x2
Ta 0.0000 0.0000 0.3195 x2
Ta 0.3333 0.6667 0.1045 x2
O 0.0000 0.5000 0.0000 x3
O 0.1647 0.3294 0.1974 x6
O 0.1703 0.3406 0.6043 x6



Entry 6:
VASP calculation (PBE-GGA) on an optimized crystal structure of PH9AuC3S3Cl.

## Properties
DFT total energy   -4.706 eV per atom
Volume   13.85 Å³ per atom
Total magnetization   0.1 μB per cell

Unit cell a=6.738 b=15.834 c=18.689 alpha=90.00 beta=90.00 gamma=90.00
Space group Pbca (No. 61)
One atom of each set of equivalent atoms:
P 0.223 0.118 0.145 x8
H 0.034 0.698 0.491 x8
H 0.063 0.538 0.574 x8
H 0.080 0.222 0.564 x8
H 0.095 0.650 0.705 x8
H 0.160 0.186 0.682 x8
H 0.185 0.727 0.943 x8
H 0.186 0.075 0.588 x8
H 0.208 0.732 0.756 x8
H 0.217 0.564 0.499 x8
Au 0.223 0.032 0.242 x8
C 0.048 0.736 0.442 x8
C 0.195 0.705 0.703 x8
C 0.215 0.539 0.553 x8
S 0.066 0.666 0.365 x8
S 0.076 0.721 0.142 x8
S 0.188 0.568 0.046 x8
Cl 0.217 0.558 0.841 x8



Entry 7:
VASP calculation (PBE-GGA) on an optimized crystal structure of K5Au5C10I2N10O2.

## Properties
DFT total energy   -4.574 eV per atom
Volume   23.75 Å³ per atom
Total magnetization   1.9 μB per cell

Unit cell a=7.386 b=9.809 c=12.293 alpha=98.48 beta=94.78 gamma=111.95
Space group P-1 (No. 2)
One atom of each set of equivalent atoms:
K 0.000 0.000 0.000 x1
K 0.193 0.547 0.045 x2
K 0.337 0.014 0.910 x2
Au 0.000 0.000 0.500 x1
Au 0.000 0.500 0.500 x1
Au 0.249 0.262 0.480 x2
Au 0.500 0.000 0.500 x1
C 0.007 0.840 0.287 x2
C 0.085 0.649 0.707 x2
C 0.225 0.229 0.267 x2
C 0.279 0.302 0.694 x2
C 0.454 0.876 0.270 x2
I 0.353 0.717 0.506 x2
N 0.010 0.747 0.161 x2
N 0.137 0.738 0.829 x2
N 0.216 0.219 0.143 x2
N 0.295 0.327 0.821 x2
N 0.389 0.878 0.155 x2
O 0.489 0.730 0.162 x2



Entry 8:
VASP calculation (PBE-GGA) on an optimized crystal structure of SrSm2O4.

## Properties
DFT total energy   -7.612 eV per atom
Volume   16.30 Å³ per atom
Polymorph energy (0 for the lowest one)   0.21 eV per formula unit
Total magnetization   0.0 μB per cell

Unit cell a=3.471 b=11.540 c=11.397 alpha=90.00 beta=90.00 gamma=90.00
Space group Cmcm (No. 63)
One atom of each set of equivalent atoms:
Sr 0.000 0.112 0.250 x4
Sm 0.000 0.367 0.074 x8
O 0.000 0.000 0.000 x4
O 0.000 0.264 0.611 x8
O 0.000 0.462 0.250 x4